No. 1
# BaHg2Pb, relaxed, DFT GGA-PBE
data_BaHg2Pb
_chemical_formula_sum 'Ba4 Hg8 Pb4'
_space_group_name_H-M_alt 'F m -3 m'
_space_group_IT_number 225
_space_group_name_Hall '-F 4 2 3'
_cell_length_a 7.985
_cell_length_b 7.985
_cell_length_c 7.985
_cell_angle_alpha 90.00
_cell_angle_beta 90.00
_cell_angle_gamma 90.00
loop_
_atom_site_label
_atom_site_fract_x
_atom_site_fract_y
_atom_site_fract_z
_atom_site_occupancy
Ba1 0.000 0.000 0.000 1
Hg1 0.250 0.250 0.250 1
Pb1 0.000 0.000 0.500 1
# Formation enthalpy at 0 K   -0.4334 eV per atom
# E_tot   -1.9932 eV/atom



No. 2
# Ba2HgS3, relaxed, DFT GGA-PBE
data_Ba2HgS3
_chemical_formula_sum 'Ba8 Hg4 S12'
_space_group_name_H-M_alt 'P n m a'
_space_group_IT_number 62
_cell_length_a 9.068
_cell_length_b 4.409
_cell_length_c 17.538
_cell_angle_alpha 90.00
_cell_angle_beta 90.00
_cell_angle_gamma 90.00
loop_
_space_group_symop_operation_xyz
'x,y,z'
'-x,-y,-z'
'-x+1/2,-y,z+1/2'
'x+1/2,y,-z+1/2'
'x+1/2,-y+1/2,-z+1/2'
'-x+1/2,y+1/2,z+1/2'
'-x,y+1/2,-z'
'x,-y+1/2,z'
loop_
_atom_site_label
_atom_site_fract_x
_atom_site_fract_y
_atom_site_fract_z
_atom_site_occupancy
Ba1 0.078 0.250 0.216 1
Ba2 0.240 0.250 0.961 1
Hg1 0.124 0.250 0.633 1
S1 0.017 0.250 0.404 1
S2 0.118 0.750 0.072 1
S3 0.185 0.250 0.778 1
# Formation enthalpy at 0 K   -1.7006 eV per atom
# E_tot   -4.2076 eV/atom



No. 3
# Ba8U3Hg3S18, relaxed, DFT GGA-PBE
data_Ba8U3Hg3S18
_chemical_formula_sum 'Ba24 U9 Hg9 S54'
_space_group_name_H-M_alt 'P -6'
_space_group_IT_number 174
_cell_length_a 27.2675
_cell_length_b 27.2675
_cell_length_c 4.2273
_cell_angle_alpha 90.00
_cell_angle_beta 90.00
_cell_angle_gamma 120.00
loop_
_space_group_symop_operation_xyz
'x,y,z'
'-x+y,-x,-z'
'-y,x-y,z'
'x,y,-z'
'-x+y,-x,z'
'-y,x-y,-z'
loop_
_atom_site_label
_atom_site_fract_x
_atom_site_fract_y
_atom_site_fract_z
_atom_site_occupancy
Ba1 0.0001 0.2982 0.0000 1
Ba2 0.9998 0.6302 0.0000 1
Ba3 0.1126 0.0799 0.0000 1
Ba4 0.1651 0.8064 0.0000 1
Ba5 0.2594 0.5550 0.0000 1
Ba6 0.3135 0.1751 0.0000 1
Ba7 0.4836 0.0258 0.0000 1
Ba8 0.5784 0.2270 0.0000 1
U1 0.0563 0.1923 0.5000 1
U2 0.1344 0.6010 0.5000 1
U3 0.4777 0.3031 0.5000 1
Hg1 0.0105 0.7711 0.5000 1
Hg2 0.1109 0.4366 0.5000 1
Hg3 0.4247 0.1270 0.5000 1
S1 0.0108 0.3931 0.5000 1
S2 0.0242 0.5585 0.5000 1
S3 0.0259 0.0870 0.5000 1
S4 0.0705 0.7317 0.5000 1
S5 0.0849 0.8737 0.0000 1
S6 0.0884 0.2998 0.5000 1
S7 0.1229 0.5331 0.0000 1
S8 0.1445 0.6672 0.0000 1
S9 0.1873 0.0129 0.0000 1
S10 0.2053 0.4553 0.5000 1
S11 0.2128 0.1459 0.5000 1
S12 0.2420 0.6366 0.5000 1
S13 0.3271 0.0975 0.5000 1
S14 0.3723 0.2792 0.5000 1
S15 0.4548 0.2313 0.0000 1
S16 0.4996 0.3732 0.0000 1
S17 0.5123 0.1294 0.5000 1
S18 0.5800 0.3199 0.5000 1
# Formation enthalpy at 0 K   -1.8556 eV per atom
# E_tot   -5.4662 eV/atom



No. 4
# Ba2SnHg, relaxed, DFT GGA-PBE
data_Ba2SnHg
_chemical_formula_sum 'Ba8 Sn4 Hg4'
_space_group_name_H-M_alt 'F m -3 m'
_space_group_IT_number 225
_space_group_name_Hall '-F 4 2 3'
_cell_length_a 8.518
_cell_length_b 8.518
_cell_length_c 8.518
_cell_angle_alpha 90.00
_cell_angle_beta 90.00
_cell_angle_gamma 90.00
loop_
_atom_site_label
_atom_site_fract_x
_atom_site_fract_y
_atom_site_fract_z
_atom_site_occupancy
Ba1 0.250 0.250 0.250 1
Sn1 0.000 0.000 0.000 1
Hg1 0.000 0.000 0.500 1
# Formation enthalpy at 0 K   -0.6332 eV per atom
# E_tot   -2.6710 eV/atom



No. 5
# BaSnHg, relaxed, DFT GGA-PBE
data_BaSnHg
_chemical_formula_sum 'Ba2 Sn2 Hg2'
_space_group_name_H-M_alt 'P 63/m m c'
_space_group_IT_number 194
_space_group_name_Hall '-P 6c 2c'
_cell_length_a 5.0123
_cell_length_b 5.0123
_cell_length_c 9.7148
_cell_angle_alpha 90.00
_cell_angle_beta 90.00
_cell_angle_gamma 120.00
loop_
_atom_site_label
_atom_site_fract_x
_atom_site_fract_y
_atom_site_fract_z
_atom_site_occupancy
Ba1 0.0000 0.0000 0.0000 1
Sn1 0.3333 0.6667 0.2500 1
Hg1 0.3333 0.6667 0.7500 1
# Formation enthalpy at 0 K   -0.5767 eV per atom
# E_tot   -2.6541 eV/atom



No. 6
# BaSrHg2, relaxed, DFT GGA-PBE
data_BaSrHg2
_chemical_formula_sum 'Ba4 Sr4 Hg8'
_space_group_name_H-M_alt 'F m -3 m'
_space_group_IT_number 225
_space_group_name_Hall '-F 4 2 3'
_cell_length_a 8.255
_cell_length_b 8.255
_cell_length_c 8.255
_cell_angle_alpha 90.00
_cell_angle_beta 90.00
_cell_angle_gamma 90.00
loop_
_atom_site_label
_atom_site_fract_x
_atom_site_fract_y
_atom_site_fract_z
_atom_site_occupancy
Ba1 0.000 0.000 0.000 1
Sr1 0.000 0.000 0.500 1
Hg1 0.250 0.250 0.250 1
# Formation enthalpy at 0 K   -0.5153 eV per atom
# E_tot   -1.5693 eV/atom



No. 7
# BaTl2Hg2, relaxed, DFT GGA-PBE
data_BaTl2Hg2
_chemical_formula_sum 'Ba4 Tl8 Hg8'
_space_group_name_H-M_alt 'P 42/m n m'
_space_group_IT_number 136
_space_group_name_Hall '-P 4n 2n'
_cell_length_a 11.093
_cell_length_b 11.093
_cell_length_c 5.210
_cell_angle_alpha 90.00
_cell_angle_beta 90.00
_cell_angle_gamma 90.00
loop_
_atom_site_label
_atom_site_fract_x
_atom_site_fract_y
_atom_site_fract_z
_atom_site_occupancy
Ba1 0.148 0.148 0.000 1
Tl1 0.029 0.359 0.500 1
Hg1 0.095 0.905 0.500 1
Hg2 0.188 0.812 0.000 1
# Formation enthalpy at 0 K   -0.3204 eV per atom
# E_tot   -1.7707 eV/atom



No. 8
# Ba3ZnHg10, relaxed, DFT GGA-PBE
data_Ba3ZnHg10
_chemical_formula_sum 'Ba6 Zn2 Hg20'
_space_group_name_H-M_alt 'P m m 2'
_space_group_IT_number 25
_cell_length_a 7.426
_cell_length_b 17.679
_cell_length_c 6.272
_cell_angle_alpha 90.00
_cell_angle_beta 90.00
_cell_angle_gamma 90.00
loop_
_space_group_symop_operation_xyz
'x,y,z'
'-x,-y,z'
'-x,y,z'
'x,-y,z'
loop_
_atom_site_label
_atom_site_fract_x
_atom_site_fract_y
_atom_site_fract_z
_atom_site_occupancy
Ba1 0.000 0.000 0.000 1
Ba2 0.000 0.317 0.629 1
Ba3 0.500 0.179 0.277 1
Ba4 0.500 0.500 0.910 1
Zn1 0.000 0.111 0.480 1
Hg1 0.000 0.199 0.124 1
Hg2 0.000 0.500 0.931 1
Hg3 0.196 0.500 0.437 1
Hg4 0.210 0.352 0.115 1
Hg5 0.277 0.146 0.780 1
Hg6 0.288 0.000 0.469 1
Hg7 0.500 0.000 0.974 1
Hg8 0.500 0.293 0.811 1
Hg9 0.500 0.387 0.432 1
# Formation enthalpy at 0 K   -0.3666 eV per atom
# E_tot   -1.0847 eV/atom



No. 9
# Ba2LiHoRuO6, relaxed, DFT GGA-PBE
data_Ba2LiHoRuO6
_chemical_formula_sum 'Ba4 Li2 Ho2 Ru2 O12'
_space_group_name_H-M_alt 'C 1 m 1'
_space_group_IT_number 8
_cell_length_a 10.191
_cell_length_b 5.888
_cell_length_c 6.322
_cell_angle_alpha 90.00
_cell_angle_beta 122.48
_cell_angle_gamma 90.00
loop_
_space_group_symop_operation_xyz
'x,y,z'
'x,-y,z'
'x+1/2,y+1/2,z'
'x+1/2,-y+1/2,z'
loop_
_atom_site_label
_atom_site_fract_x
_atom_site_fract_y
_atom_site_fract_z
_atom_site_occupancy
Ba1 0.000 0.000 0.000 1
Ba2 0.041 0.500 0.621 1
Li1 0.379 0.000 0.141 1
Ho1 0.256 0.500 0.268 1
Ru1 0.240 0.000 0.721 1
O1 0.011 0.000 0.509 1
O2 0.247 0.241 0.981 1
O3 0.250 0.239 0.510 1
O4 0.487 0.000 0.983 1
# Polymorph energy (0 for the lowest one)   3 meV per atom
# Formation enthalpy at 0 K   -2.6092 eV per atom
# E_tot   -6.7156 eV/atom



No. 10
# Ba2LiHoRuO6, relaxed, DFT GGA-PBE
data_Ba2LiHoRuO6
_chemical_formula_sum 'Ba4 Li2 Ho2 Ru2 O12'
_space_group_name_H-M_alt 'C 1 m 1'
_space_group_IT_number 8
_cell_length_a 10.183
_cell_length_b 5.875
_cell_length_c 6.324
_cell_angle_alpha 90.00
_cell_angle_beta 122.54
_cell_angle_gamma 90.00
loop_
_space_group_symop_operation_xyz
'x,y,z'
'x,-y,z'
'x+1/2,y+1/2,z'
'x+1/2,-y+1/2,z'
loop_
_atom_site_label
_atom_site_fract_x
_atom_site_fract_y
_atom_site_fract_z
_atom_site_occupancy
Ba1 0.000 0.000 0.000 1
Ba2 0.030 0.500 0.593 1
Li1 0.158 0.000 0.477 1
Ho1 0.310 0.000 0.931 1
Ru1 0.292 0.500 0.378 1
O1 0.037 0.000 0.621 1
O2 0.060 0.500 0.155 1
O3 0.290 0.254 0.620 1
O4 0.298 0.262 0.157 1
# Polymorph energy (0 for the lowest one)   58 meV per atom
# Formation enthalpy at 0 K   -2.5546 eV per atom
# E_tot   -6.6609 eV/atom



No. 11
# Ba2LiHoRuO6, relaxed, DFT GGA-PBE
data_Ba2LiHoRuO6
_chemical_formula_sum 'Ba4 Li2 Ho2 Ru2 O12'
_space_group_name_H-M_alt 'I m m m'
_space_group_IT_number 71
_space_group_name_Hall '-I 2 2'
_cell_length_a 5.913
_cell_length_b 5.966
_cell_length_c 8.887
_cell_angle_alpha 90.00
_cell_angle_beta 90.00
_cell_angle_gamma 90.00
loop_
_atom_site_label
_atom_site_fract_x
_atom_site_fract_y
_atom_site_fract_z
_atom_site_occupancy
Ba1 0.000 0.000 0.208 1
Li1 0.000 0.000 0.500 1
Ho1 0.000 0.500 0.000 1
Ru1 0.000 0.500 0.500 1
O1 0.000 0.500 0.267 1
O2 0.232 0.251 0.500 1
# Polymorph energy (0 for the lowest one)   0 meV per atom
# Formation enthalpy at 0 K   -2.6124 eV per atom
# E_tot   -6.7187 eV/atom



No. 12
# Ba2HoMgRuO6, relaxed, DFT GGA-PBE
data_Ba2HoMgRuO6
_chemical_formula_sum 'Ba4 Ho2 Mg2 Ru2 O12'
_space_group_name_H-M_alt 'C 1 m 1'
_space_group_IT_number 8
_cell_length_a 10.294
_cell_length_b 5.946
_cell_length_c 6.566
_cell_angle_alpha 90.00
_cell_angle_beta 121.47
_cell_angle_gamma 90.00
loop_
_space_group_symop_operation_xyz
'x,y,z'
'x,-y,z'
'x+1/2,y+1/2,z'
'x+1/2,-y+1/2,z'
loop_
_atom_site_label
_atom_site_fract_x
_atom_site_fract_y
_atom_site_fract_z
_atom_site_occupancy
Ba1 0.000 0.000 0.000 1
Ba2 0.044 0.500 0.633 1
Ho1 0.253 0.500 0.258 1
Mg1 0.373 0.000 0.119 1
Ru1 0.225 0.000 0.674 1
O1 0.234 0.235 0.465 1
O2 0.238 0.246 0.961 1
O3 0.484 0.000 0.962 1
O4 0.499 0.500 0.463 1
# Polymorph energy (0 for the lowest one)   0 meV per atom
# Formation enthalpy at 0 K   -2.5274 eV per atom
# E_tot   -6.6057 eV/atom